LaZn3As3, relaxed, DFT r2SCAN; calculated density = 6.22 g cm⁻³; energy of formation = -0.717 eV per atom
1.0
4.101 0.000 0.000
0.000 11.552 0.000
0.000 0.000 12.624
Zn As La
12 12 4
Direct
0.750 0.463 0.566
0.250 0.154 0.223
0.250 0.346 0.723
0.250 0.736 0.050
0.750 0.264 0.950
0.750 0.654 0.277
0.250 0.537 0.434
0.750 0.236 0.450
0.250 0.764 0.550
0.750 0.846 0.777
0.250 0.963 0.934
0.750 0.037 0.066
0.250 0.565 0.638
0.750 0.065 0.862
0.750 0.881 0.585
0.250 0.935 0.138
0.750 0.237 0.147
0.250 0.737 0.353
0.750 0.435 0.362
0.750 0.263 0.647
0.250 0.763 0.853
0.750 0.619 0.085
0.250 0.381 0.915
0.250 0.119 0.415
0.750 0.559 0.838
0.750 0.941 0.338
0.250 0.059 0.662
0.250 0.441 0.162

Li3AsO4, relaxed, DFT r2SCAN; calculated density = 3.21 g cm⁻³; energy of formation = -2.117 eV per atom; E above lowest polymorph = 0 meV per atom
1.0
-4.905 -0.517 -0.236
0.569 -3.601 -3.937
0.278 -4.574 4.224
Li O As
6 8 2
Direct
0.005 0.165 0.500
0.504 0.331 0.748
0.004 0.669 0.248
0.505 0.835 0.000
0.504 0.331 0.252
0.004 0.669 0.752
0.653 0.175 0.000
0.108 0.870 0.000
0.608 0.130 0.500
0.153 0.825 0.500
0.611 0.680 0.277
0.111 0.320 0.223
0.611 0.680 0.723
0.111 0.320 0.777
0.497 0.830 0.500
0.997 0.170 0.000

Li3AsO4, relaxed, DFT r2SCAN; calculated density = 3.13 g cm⁻³; energy of formation = -2.112 eV per atom; E above lowest polymorph = 6 meV per atom
1.0
5.045 0.000 0.000
0.000 6.249 0.000
0.000 0.000 10.741
Li As O
12 4 16
Direct
0.809 0.496 0.666
0.309 0.750 0.078
0.691 0.496 0.166
0.809 0.004 0.666
0.691 0.004 0.166
0.191 0.996 0.334
0.191 0.504 0.334
0.309 0.996 0.834
0.191 0.750 0.578
0.809 0.250 0.422
0.691 0.250 0.922
0.309 0.504 0.834
0.187 0.250 0.087
0.313 0.250 0.587
0.813 0.750 0.913
0.687 0.750 0.413
0.349 0.750 0.413
0.651 0.250 0.587
0.298 0.029 0.162
0.798 0.529 0.338
0.298 0.471 0.162
0.702 0.529 0.838
0.202 0.029 0.662
0.297 0.250 0.938
0.797 0.750 0.562
0.703 0.750 0.062
0.151 0.750 0.913
0.203 0.250 0.438
0.702 0.971 0.838
0.849 0.250 0.087
0.202 0.471 0.662
0.798 0.971 0.338

LiAsO3, relaxed, DFT r2SCAN; calculated density = 4.57 g cm⁻³; energy of formation = -1.752 eV per atom
1.0
2.845 -1.221 4.500
1.764 -4.914 1.605
5.162 -1.757 0.314
O As Li
6 2 2
Direct
0.295 0.551 0.935
0.935 0.295 0.551
0.705 0.449 0.065
0.065 0.705 0.449
0.449 0.065 0.705
0.551 0.935 0.295
0.339 0.339 0.339
0.661 0.661 0.661
0.134 0.134 0.134
0.866 0.866 0.866

> Which of these has the lowest energy of formation?

number 2

Repeat the second record exactly.
Li3AsO4, relaxed, DFT r2SCAN; calculated density = 3.21 g cm⁻³; energy of formation = -2.117 eV per atom; E above lowest polymorph = 0 meV per atom
1.0
-4.905 -0.517 -0.236
0.569 -3.601 -3.937
0.278 -4.574 4.224
Li O As
6 8 2
Direct
0.005 0.165 0.500
0.504 0.331 0.748
0.004 0.669 0.248
0.505 0.835 0.000
0.504 0.331 0.252
0.004 0.669 0.752
0.653 0.175 0.000
0.108 0.870 0.000
0.608 0.130 0.500
0.153 0.825 0.500
0.611 0.680 0.277
0.111 0.320 0.223
0.611 0.680 0.723
0.111 0.320 0.777
0.497 0.830 0.500
0.997 0.170 0.000

> What is the formula in the fourth record?

LiAsO3

> What is the calculated density in the fourth record?

4.57 g cm⁻³